Entry 1:
# LiSmFe4O12 | Materials Project | PBE+U | optimized geometry
data_LiSmFe4O12
_chemical_formula_sum 'Li1 Sm1 Fe4 O12'
_cell_length_a 5.368
_cell_length_b 5.368
_cell_length_c 7.657
_cell_angle_alpha 90.00
_cell_angle_beta 90.00
_cell_angle_gamma 90.00
_space_group_name_H-M_alt 'P 1'
_space_group_IT_number 1
loop_
_space_group_symop_operation_xyz
'x,y,z'
loop_
_atom_site_label
_atom_site_type_symbol
_atom_site_fract_x
_atom_site_fract_y
_atom_site_fract_z
_atom_site_occupancy
O1 O 0.000 0.500 0.000 1
O2 O 0.242 0.242 0.262 1
O3 O 0.242 0.758 0.262 1
O4 O 0.758 0.758 0.262 1
O5 O 0.500 0.000 0.000 1
Fe1 Fe 0.500 0.000 0.756 1
O6 O 0.242 0.758 0.738 1
Li1 Li 0.500 0.500 0.000 1
O7 O 0.758 0.242 0.262 1
O8 O 0.500 0.000 0.500 1
Fe2 Fe 0.000 0.500 0.244 1
O9 O 0.000 0.500 0.500 1
O10 O 0.242 0.242 0.738 1
Fe3 Fe 0.000 0.500 0.756 1
Fe4 Fe 0.500 0.000 0.244 1
O11 O 0.758 0.758 0.738 1
Sm1 Sm 0.000 0.000 0.500 1
O12 O 0.758 0.242 0.738 1
# **Energy relative to the elements**: -1.379 eV/atom
# **Mass density**: 4.31 Mg/m³
# **Symmetry**: P4/mmm, No. 123

=====

Entry 2:
# CoSnH12O6F6 | Materials Project | PBE+U | optimized geometry
data_CoSnH12O6F6
_chemical_formula_sum 'Co1 Sn1 H12 O6 F6'
_cell_length_a 6.651
_cell_length_b 6.651
_cell_length_c 6.651
_cell_angle_alpha 96.65
_cell_angle_beta 96.65
_cell_angle_gamma 96.65
_space_group_name_H-M_alt 'P 1'
_space_group_IT_number 1
loop_
_space_group_symop_operation_xyz
'x,y,z'
loop_
_atom_site_label
_atom_site_type_symbol
_atom_site_fract_x
_atom_site_fract_y
_atom_site_fract_z
_atom_site_occupancy
F1 F 0.157 0.255 0.933 1
H1 H 0.692 0.197 0.330 1
F2 F 0.843 0.745 0.067 1
O1 O 0.617 0.439 0.790 1
H2 H 0.308 0.803 0.670 1
F3 F 0.933 0.157 0.255 1
O2 O 0.210 0.383 0.561 1
Sn1 Sn 0.000 0.000 0.000 1
F4 F 0.255 0.933 0.157 1
H3 H 0.894 0.697 0.544 1
H4 H 0.197 0.330 0.692 1
Co1 Co 0.500 0.500 0.500 1
H5 H 0.330 0.692 0.197 1
F5 F 0.745 0.067 0.843 1
O3 O 0.439 0.790 0.617 1
F6 F 0.067 0.843 0.745 1
O4 O 0.790 0.617 0.439 1
H6 H 0.303 0.456 0.106 1
H7 H 0.456 0.106 0.303 1
H8 H 0.697 0.544 0.894 1
H9 H 0.670 0.308 0.803 1
H10 H 0.106 0.303 0.456 1
H11 H 0.544 0.894 0.697 1
O5 O 0.383 0.561 0.210 1
H12 H 0.803 0.670 0.308 1
O6 O 0.561 0.210 0.383 1
# **Energy relative to the elements**: -1.684 eV/atom
# **Mass density**: 2.31 Mg/m³
# **Symmetry**: R-3, No. 148